[1]
{
  "formula": "SmAl20V2",
  "functional": "GGA-PBE",
  "state": "optimized geometry",
  "sg": "Fd-3m",
  "crystal_system": "cubic",
  "lattice": [[2.040, -8.214, -5.852], [1.086, -9.266, 4.339], [-7.193, -7.220, -1.419]],
  "species": ["Al", "Al", "Al", "Al", "Al", "Al", "Al", "Al", "Al", "Al", "Al", "Al", "Al", "Al", "Al", "Al", "Al", "Al", "Al", "Al", "Al", "Al", "Al", "Al", "Al", "Al", "Al", "Al", "Al", "Al", "Al", "Al", "Al", "Al", "Al", "Al", "Al", "Al", "Al", "Al", "Sm", "Sm", "V", "V", "V", "V"],
  "frac_coords": [[0.863, 0.137, 0.137], [0.137, 0.863, 0.137], [0.951, 0.681, 0.951], [0.951, 0.417, 0.681], [0.299, 0.833, 0.569], [0.387, 0.387, 0.113], [0.569, 0.299, 0.833], [0.137, 0.863, 0.863], [0.113, 0.387, 0.113], [0.299, 0.833, 0.299], [0.113, 0.113, 0.387], [0.299, 0.299, 0.569], [0.387, 0.113, 0.387], [0.299, 0.569, 0.299], [0.681, 0.951, 0.417], [0.137, 0.137, 0.863], [0.625, 0.125, 0.625], [0.569, 0.833, 0.299], [0.125, 0.625, 0.625], [0.951, 0.951, 0.417], [0.863, 0.137, 0.863], [0.569, 0.299, 0.299], [0.863, 0.863, 0.137], [0.951, 0.681, 0.417], [0.625, 0.625, 0.625], [0.833, 0.299, 0.299], [0.951, 0.417, 0.951], [0.625, 0.625, 0.125], [0.951, 0.951, 0.681], [0.387, 0.113, 0.113], [0.417, 0.681, 0.951], [0.299, 0.299, 0.833], [0.833, 0.569, 0.299], [0.417, 0.951, 0.681], [0.113, 0.387, 0.387], [0.299, 0.569, 0.833], [0.417, 0.951, 0.951], [0.833, 0.299, 0.569], [0.681, 0.417, 0.951], [0.681, 0.951, 0.951], [0.750, 0.750, 0.750], [0.500, 0.500, 0.500], [0.625, 0.125, 0.125], [0.125, 0.625, 0.125], [0.125, 0.125, 0.625], [0.125, 0.125, 0.125]]
}

=====

[2]
{
  "formula": "Cd3As",
  "functional": "GGA-PBE",
  "state": "optimized geometry",
  "sg": "I4/mmm",
  "crystal_system": "tetragonal",
  "lattice": [[-2.262, 2.262, 4.365], [2.262, -2.262, 4.365], [2.262, 2.262, -4.365]],
  "species": ["As", "Cd", "Cd", "Cd"],
  "frac_coords": [[0.000, 0.000, 0.000], [0.750, 0.250, 0.500], [0.500, 0.500, 0.000], [0.250, 0.750, 0.500]]
}

=====

[3]
{
  "formula": "Ce2MgNi2",
  "functional": "GGA-PBE",
  "state": "optimized geometry",
  "sg": "P4/mbm",
  "crystal_system": "tetragonal",
  "lattice": [[-5.388, 0.584, -5.232], [0.238, -7.452, -1.077], [-2.524, -0.449, 2.549]],
  "species": ["Ce", "Ce", "Ce", "Ce", "Ni", "Ni", "Ni", "Ni", "Mg", "Mg"],
  "frac_coords": [[0.669, 0.169, 0.500], [0.831, 0.669, 0.500], [0.169, 0.331, 0.500], [0.331, 0.831, 0.500], [0.872, 0.372, 0.000], [0.372, 0.128, 0.000], [0.628, 0.872, 0.000], [0.128, 0.628, 0.000], [0.500, 0.500, 0.000], [0.000, 0.000, 0.000]]
}

=====

[4]
{
  "formula": "TlCO2",
  "functional": "GGA-PBE",
  "state": "optimized geometry",
  "sg": "P2_1/c",
  "crystal_system": "monoclinic",
  "lattice": [[6.006, 0.000, 0.000], [0.000, 6.812, 0.000], [0.000, 1.143, 6.847]],
  "species": ["C", "C", "C", "C", "O", "O", "O", "O", "O", "O", "O", "O", "Tl", "Tl", "Tl", "Tl"],
  "frac_coords": [[0.408, 0.429, 0.554], [0.592, 0.571, 0.446], [0.908, 0.571, 0.946], [0.092, 0.429, 0.054], [0.251, 0.511, 0.133], [0.749, 0.489, 0.867], [0.573, 0.756, 0.447], [0.751, 0.489, 0.367], [0.249, 0.511, 0.633], [0.073, 0.244, 0.053], [0.927, 0.756, 0.947], [0.427, 0.244, 0.553], [0.054, 0.804, 0.315], [0.554, 0.196, 0.185], [0.946, 0.196, 0.685], [0.446, 0.804, 0.815]]
}

=====

[5]
{
  "formula": "NdH5Se2O8",
  "functional": "GGA-PBE",
  "state": "optimized geometry",
  "sg": "P2_12_12_1",
  "de_polymorph_ev_per_fu": 0.247,
  "crystal_system": "orthorhombic",
  "lattice": [[6.865, 0.000, 0.000], [0.000, 7.235, 0.000], [0.000, 0.000, 16.618]],
  "species": ["O", "O", "O", "O", "O", "O", "O", "O", "O", "O", "O", "O", "O", "O", "O", "O", "O", "O", "O", "O", "O", "O", "O", "O", "O", "O", "O", "O", "O", "O", "O", "O", "H", "H", "H", "H", "H", "H", "H", "H", "H", "H", "H", "H", "H", "H", "H", "H", "H", "H", "H", "H", "Se", "Se", "Se", "Se", "Se", "Se", "Se", "Se", "Nd", "Nd", "Nd", "Nd"],
  "frac_coords": [[0.077, 0.291, 0.984], [0.602, 0.189, 0.448], [0.137, 0.169, 0.402], [0.526, 0.894, 0.210], [0.810, 0.210, 0.267], [0.102, 0.311, 0.552], [0.898, 0.811, 0.948], [0.375, 0.616, 0.638], [0.875, 0.884, 0.362], [0.183, 0.063, 0.236], [0.974, 0.106, 0.710], [0.577, 0.209, 0.016], [0.409, 0.413, 0.908], [0.125, 0.384, 0.138], [0.863, 0.669, 0.098], [0.317, 0.937, 0.736], [0.363, 0.831, 0.902], [0.591, 0.913, 0.592], [0.190, 0.710, 0.233], [0.423, 0.709, 0.484], [0.026, 0.606, 0.790], [0.091, 0.587, 0.408], [0.683, 0.437, 0.764], [0.310, 0.290, 0.733], [0.398, 0.689, 0.052], [0.474, 0.394, 0.290], [0.637, 0.331, 0.598], [0.817, 0.563, 0.264], [0.625, 0.116, 0.862], [0.923, 0.791, 0.516], [0.690, 0.790, 0.767], [0.909, 0.087, 0.092], [0.203, 0.328, 0.957], [0.703, 0.172, 0.043], [0.149, 0.316, 0.608], [0.031, 0.076, 0.403], [0.162, 0.204, 0.459], [0.110, 0.438, 0.532], [0.649, 0.184, 0.392], [0.890, 0.938, 0.968], [0.969, 0.576, 0.097], [0.469, 0.924, 0.903], [0.297, 0.672, 0.457], [0.838, 0.704, 0.041], [0.797, 0.828, 0.543], [0.851, 0.816, 0.892], [0.610, 0.062, 0.468], [0.531, 0.424, 0.597], [0.662, 0.296, 0.541], [0.338, 0.796, 0.959], [0.390, 0.562, 0.032], [0.351, 0.684, 0.108], [0.833, 0.613, 0.727], [0.333, 0.887, 0.273], [0.634, 0.311, 0.920], [0.167, 0.113, 0.773], [0.866, 0.689, 0.420], [0.366, 0.811, 0.580], [0.667, 0.387, 0.227], [0.134, 0.189, 0.080], [0.368, 0.614, 0.786], [0.632, 0.114, 0.714], [0.868, 0.886, 0.214], [0.132, 0.386, 0.286]]
}

=====

[6]
{
  "formula": "V7S8",
  "functional": "GGA-PBE",
  "state": "optimized geometry",
  "sg": "P3_121",
  "de_polymorph_ev_per_fu": 0.000,
  "crystal_system": "trigonal",
  "lattice": [[-1.777, 4.022, -4.631], [-3.674, -5.017, 1.455], [-8.873, 10.006, 12.096]],
  "species": ["S", "S", "S", "S", "S", "S", "S", "S", "S", "S", "S", "S", "S", "S", "S", "S", "S", "S", "S", "S", "S", "S", "S", "S", "V", "V", "V", "V", "V", "V", "V", "V", "V", "V", "V", "V", "V", "V", "V", "V", "V", "V", "V", "V", "V"],
  "frac_coords": [[0.164, 0.335, 0.749], [0.834, 0.667, 0.249], [0.833, 0.166, 0.916], [0.671, 0.335, 0.749], [0.665, 0.336, 0.082], [0.836, 0.171, 0.585], [0.167, 0.333, 0.417], [0.665, 0.829, 0.082], [0.664, 0.329, 0.415], [0.667, 0.834, 0.751], [0.335, 0.164, 0.251], [0.164, 0.828, 0.748], [0.828, 0.164, 0.252], [0.336, 0.172, 0.918], [0.171, 0.836, 0.415], [0.172, 0.336, 0.082], [0.166, 0.833, 0.084], [0.336, 0.665, 0.918], [0.664, 0.836, 0.415], [0.836, 0.664, 0.585], [0.333, 0.167, 0.583], [0.829, 0.665, 0.918], [0.335, 0.671, 0.251], [0.329, 0.664, 0.585], [0.001, 0.001, 0.500], [0.000, 0.500, 0.502], [0.500, 0.500, 0.165], [0.500, 0.000, 0.169], [0.501, 0.000, 0.833], [0.502, 0.501, 0.332], [0.000, 0.001, 0.667], [0.000, 0.999, 0.167], [0.000, 0.499, 0.334], [0.500, 0.000, 0.498], [0.499, 0.000, 0.666], [0.498, 0.000, 0.001], [0.001, 0.000, 0.333], [0.000, 0.498, 0.999], [0.999, 0.999, 0.000], [0.499, 0.499, 0.500], [0.999, 0.000, 0.833], [0.000, 0.501, 0.167], [0.501, 0.502, 0.668], [0.500, 0.500, 0.835], [0.000, 0.500, 0.831]]
}

=====

[7]
{
  "formula": "ErGa5Co",
  "functional": "GGA-PBE",
  "state": "optimized geometry",
  "sg": "P4/mmm",
  "crystal_system": "tetragonal",
  "lattice": [[4.218, 0.000, 0.000], [0.000, 4.218, 0.000], [0.000, 0.000, 6.808]],
  "species": ["Ga", "Ga", "Ga", "Ga", "Ga", "Co", "Er"],
  "frac_coords": [[0.000, 0.500, 0.690], [0.500, 0.000, 0.310], [0.500, 0.500, 0.000], [0.000, 0.500, 0.310], [0.500, 0.000, 0.690], [0.000, 0.000, 0.500], [0.000, 0.000, 0.000]]
}

=====

[8]
{
  "formula": "CaZrTi2O7",
  "functional": "GGA-PBE",
  "state": "optimized geometry",
  "sg": "P-1",
  "crystal_system": "triclinic",
  "lattice": [[-5.861, 3.482, -2.570], [-6.484, -3.387, 0.020], [-4.152, 4.119, 9.876]],
  "species": ["O", "O", "O", "O", "O", "O", "O", "O", "O", "O", "O", "O", "O", "O", "O", "O", "O", "O", "O", "O", "O", "O", "O", "O", "O", "O", "O", "O", "Ca", "Ca", "Ca", "Ca", "Zr", "Zr", "Zr", "Zr", "Ti", "Ti", "Ti", "Ti", "Ti", "Ti", "Ti", "Ti"],
  "frac_coords": [[0.163, 0.068, 0.209], [0.568, 0.220, 0.283], [0.878, 0.119, 0.082], [0.939, 0.837, 0.291], [0.121, 0.875, 0.580], [0.663, 0.396, 0.605], [0.432, 0.780, 0.717], [0.837, 0.932, 0.791], [0.801, 0.555, 0.778], [0.879, 0.704, 0.074], [0.882, 0.536, 0.417], [0.708, 0.878, 0.571], [0.252, 0.556, 0.777], [0.879, 0.125, 0.420], [0.122, 0.881, 0.918], [0.392, 0.669, 0.098], [0.337, 0.604, 0.395], [0.541, 0.881, 0.917], [0.061, 0.163, 0.709], [0.118, 0.464, 0.583], [0.292, 0.122, 0.429], [0.608, 0.331, 0.902], [0.579, 0.836, 0.282], [0.121, 0.296, 0.926], [0.459, 0.119, 0.083], [0.748, 0.444, 0.223], [0.199, 0.445, 0.222], [0.421, 0.164, 0.718], [0.752, 0.500, 0.000], [0.248, 0.500, 0.000], [0.500, 0.246, 0.511], [0.500, 0.754, 0.489], [0.997, 0.757, 0.473], [0.003, 0.243, 0.527], [0.756, 0.999, 0.975], [0.244, 0.001, 0.025], [0.378, 0.115, 0.254], [0.863, 0.627, 0.247], [0.875, 0.128, 0.252], [0.137, 0.373, 0.753], [0.415, 0.517, 0.246], [0.585, 0.483, 0.754], [0.125, 0.872, 0.748], [0.622, 0.885, 0.746]]
}

=====

Number 1: ΔE_f -0.198 eV/atom, calculated total energy -4.450 eV/atom. Number 2: ΔE_f 0.113 eV/atom, calculated total energy -1.744 eV/atom. Number 3: ΔE_f -0.314 eV/atom, calculated total energy -5.319 eV/atom. Number 4: ΔE_f -1.411 eV/atom, calculated total energy -6.440 eV/atom. Number 5: ΔE_f -1.704 eV/atom, calculated total energy -5.630 eV/atom. Number 6: ΔE_f -1.174 eV/atom, calculated total energy -7.351 eV/atom. Number 7: ΔE_f -0.467 eV/atom, calculated total energy -4.298 eV/atom. Number 8: ΔE_f -3.622 eV/atom, calculated total energy -8.728 eV/atom.